# 1
CoH4SeO5 | PBE+U | relaxed

Lattice parameters (Å, degrees): 5.7163 11.7113 8.7409 90.00 118.42 90.00
Closest atoms and distances in Å follow each position.
Sites, in units of the cell vectors:
Co1 0.2088 0.0655 0.4356  6 O 2.05-2.26
Co2 0.2088 0.4345 0.9356  6 O 2.05-2.26
Co3 0.7912 0.5655 0.0644  6 O 2.05-2.26
Co4 0.7912 0.9345 0.5644  6 O 2.05-2.26
H1 0.0893 0.5847 0.4085  1 O 1.01
H2 0.0893 0.9153 0.9085  1 O 1.01
H3 0.1032 0.1862 0.1354  1 O 0.99
H4 0.1032 0.3138 0.6354  1 O 0.99
H5 0.2739 0.6012 0.6814  1 O 0.99
H6 0.2739 0.8988 0.1814  1 O 0.99
H7 0.4718 0.0624 0.8243  1 O 1.00
H8 0.4718 0.4376 0.3243  1 O 1.00
H9 0.5282 0.5624 0.6757  1 O 1.00
H10 0.5282 0.9376 0.1757  1 O 1.00
H11 0.7261 0.1012 0.8186  1 O 0.99
H12 0.7261 0.3988 0.3186  1 O 0.99
H13 0.8968 0.6862 0.3646  1 O 0.99
H14 0.8968 0.8138 0.8646  1 O 0.99
H15 0.9107 0.0847 0.0915  1 O 1.01
H16 0.9107 0.4153 0.5915  1 O 1.01
Se1 0.3057 0.6532 0.1324  3 O 1.73-1.76
Se2 0.3057 0.8468 0.6324  3 O 1.73-1.76
Se3 0.6943 0.1532 0.3676  3 O 1.73-1.76
Se4 0.6943 0.3468 0.8676  3 O 1.73-1.76
O1 0.0202 0.2000 0.4809  1 Se 1.73, 1 H 1.79
O2 0.0202 0.3000 0.9809  1 Se 1.73, 1 H 1.79
O3 0.0945 0.1091 0.1801  2 H 0.99-1.01
O4 0.0945 0.3909 0.6801  2 H 0.99-1.01
O5 0.2230 0.5160 0.1734  1 H 1.68, 1 Se 1.76
O6 0.2230 0.9840 0.6734  1 H 1.68, 1 Se 1.76
O7 0.3616 0.6074 0.6082  2 H 0.99-1.00
O8 0.3616 0.8926 0.1082  2 H 0.99-1.00
O9 0.3812 0.6073 0.9689  1 Se 1.76
O10 0.3812 0.8927 0.4689  1 Se 1.76
O11 0.6188 0.1073 0.5311  1 Se 1.76
O12 0.6188 0.3927 0.0311  1 Se 1.76
O13 0.6384 0.1074 0.8918  2 H 0.99-1.00
O14 0.6384 0.3926 0.3918  2 H 0.99-1.00
O15 0.7770 0.0160 0.3266  1 H 1.68, 1 Se 1.76
O16 0.7770 0.4840 0.8266  1 H 1.68, 1 Se 1.76
O17 0.9055 0.6091 0.3199  2 H 0.99-1.01
O18 0.9055 0.8909 0.8199  2 H 0.99-1.01
O19 0.9798 0.7000 0.0191  1 Se 1.73, 1 H 1.79
O20 0.9798 0.8000 0.5191  1 Se 1.73, 1 H 1.79

Calculated values
The calculation puts the magnetic moment at 12.00 μB/cell. For the total energy, the calculation gives -5.220 eV/atom. Its energy above the most stable polymorph in this dataset is 52 meV per atom. The space group is No. 14. The value obtained for the energy of formation from the pure elements is -1.2344 eV/atom.


# 2
V4O3F9 | PBE+U | relaxed

Lattice parameters (Å, degrees): 5.2417 5.3862 17.5343 89.89 82.17 61.39
Closest atoms and distances in Å follow each position.
Sites, in units of the cell vectors:
V1 0.0000 0.0000 0.0000  1 O 1.67
V2 0.0095 0.4765 0.4988  2 O 1.93-1.97, 4 F 1.96-2.01
V3 0.2353 0.3549 0.1240  4 F 1.95-1.96, 2 O 1.98-1.99
V4 0.2463 0.8365 0.6190  1 O 1.70
V5 0.4680 0.7133 0.2478  1 O 1.67
V6 0.5144 0.2322 0.7533  1 O 1.69
V7 0.7083 0.1166 0.3767  1 O 1.68
V8 0.7397 0.6261 0.8674  1 O 1.70
O1 0.1408 0.1765 0.0412  1 V 1.67
O2 0.1649 0.6859 0.5473  1 V 1.70
O3 0.3335 0.5289 0.2076  1 V 1.67
O4 0.3520 0.3024 0.4164  1 V 1.68
O5 0.6581 0.4144 0.7924  1 V 1.69
O6 0.6988 0.8955 0.8111  1 V 1.70
F1 0.1500 0.8975 0.3358  2 V 1.97-2.05
F2 0.1642 0.3828 0.8351  2 V 1.96-1.99
F3 0.2007 0.6590 0.0582  2 V 1.95-1.99
F4 0.2202 0.1586 0.5624  2 V 1.95-1.98
F5 0.2664 0.0502 0.1899  2 V 1.96-1.97
F6 0.2812 0.5402 0.6895  2 V 1.97-1.98
F7 0.3176 0.8113 0.9121  2 V 1.97-1.98
F8 0.3270 0.0230 0.7055  2 V 2.02-2.06
F9 0.6538 0.1335 0.0824  2 V 1.96-1.98
F10 0.6558 0.9343 0.2885  2 V 1.95-2.05
F11 0.6674 0.6373 0.5856  2 V 1.94-2.01
F12 0.7107 0.4165 0.3125  2 V 1.97-1.98
F13 0.7733 0.3036 0.9351  2 V 1.97-2.05
F14 0.7822 0.7789 0.4342  2 V 1.96-1.98
F15 0.8163 0.5744 0.1654  2 V 1.96-1.99
F16 0.8235 0.7744 0.9576  2 V 1.97-2.04
F17 0.8251 0.0624 0.6642  2 V 1.95-1.98
F18 0.8429 0.2534 0.4596  2 V 1.96-1.98

Calculated values
For the total energy, the calculation gives -6.416 eV/atom. Its energy above the most stable polymorph in this dataset is 1 meV per atom. The space group is No. 1. The value obtained for the energy of formation from the pure elements is -2.9542 eV/atom.


# 3
Li2Fe3BiO8 | PBE+U | relaxed

Lattice parameters (Å, degrees): 8.6885 8.6885 8.6885 90.00 90.00 90.00
Closest atoms and distances in Å follow each position.
Sites, in units of the cell vectors:
Li1 0.0011 0.0011 0.0011  4 O 1.99-2.06
Li2 0.2489 0.2489 0.2489  4 O 1.99-2.06
Li3 0.2511 0.7511 0.7489  4 O 1.99-2.06
Li4 0.4989 0.9989 0.5011  4 O 1.99-2.06
Li5 0.5011 0.4989 0.9989  4 O 1.99-2.06
Li6 0.7489 0.2511 0.7511  4 O 1.99-2.06
Li7 0.7511 0.7489 0.2511  4 O 1.99-2.06
Li8 0.9989 0.5011 0.4989  4 O 1.99-2.06
Fe1 0.1108 0.1392 0.6250  6 O 2.01-2.12
Fe2 0.1250 0.3892 0.8608  6 O 2.01-2.12
Fe3 0.1392 0.6250 0.1108  6 O 2.01-2.12
Fe4 0.3608 0.3750 0.6108  6 O 2.01-2.12
Fe5 0.3750 0.6108 0.3608  6 O 2.01-2.12
Fe6 0.3892 0.8608 0.1250  6 O 2.01-2.12
Fe7 0.6108 0.3608 0.3750  6 O 2.01-2.12
Fe8 0.6250 0.1108 0.1392  6 O 2.01-2.12
Fe9 0.6392 0.8750 0.8892  6 O 2.01-2.12
Fe10 0.8608 0.1250 0.3892  6 O 2.01-2.12
Fe11 0.8750 0.8892 0.6392  6 O 2.01-2.12
Fe12 0.8892 0.6392 0.8750  6 O 2.01-2.12
Bi1 0.1250 0.8750 0.3750  6 O 2.16
Bi2 0.3750 0.1250 0.8750  6 O 2.16
Bi3 0.6250 0.6250 0.6250  6 O 2.16
Bi4 0.8750 0.3750 0.1250  6 O 2.16
O1 0.1049 0.1220 0.3877  1 Li 2.06, 2 Fe 2.07-2.12, 1 Bi 2.16
O2 0.1123 0.8951 0.6220  1 Li 2.06, 2 Fe 2.07-2.12, 1 Bi 2.16
O3 0.1190 0.6190 0.8810  1 Li 1.99, 3 Fe 2.01
O4 0.1220 0.3877 0.1049  1 Li 2.06, 2 Fe 2.07-2.12, 1 Bi 2.16
O5 0.1280 0.1451 0.8623  1 Li 2.06, 2 Fe 2.07-2.12, 1 Bi 2.16
O6 0.1310 0.3690 0.6310  1 Li 1.99, 3 Fe 2.01
O7 0.1377 0.6280 0.3549  1 Li 2.06, 2 Fe 2.07-2.12, 1 Bi 2.16
O8 0.1451 0.8623 0.1280  1 Li 2.06, 2 Fe 2.07-2.12, 1 Bi 2.16
O9 0.3549 0.1377 0.6280  1 Li 2.06, 2 Fe 2.07-2.12, 1 Bi 2.16
O10 0.3623 0.3720 0.8549  1 Li 2.06, 2 Fe 2.07-2.12, 1 Bi 2.16
O11 0.3690 0.6310 0.1310  1 Li 1.99, 3 Fe 2.01
O12 0.3720 0.8549 0.3623  1 Li 2.06, 2 Fe 2.07-2.12, 1 Bi 2.16
O13 0.3780 0.6123 0.6049  1 Li 2.06, 2 Fe 2.07-2.12, 1 Bi 2.16
O14 0.3810 0.3810 0.3810  1 Li 1.99, 3 Fe 2.01
O15 0.3877 0.1049 0.1220  1 Li 2.06, 2 Fe 2.07-2.12, 1 Bi 2.16
O16 0.3951 0.8780 0.8877  1 Li 2.06, 2 Fe 2.07-2.12, 1 Bi 2.16
O17 0.6049 0.3780 0.6123  1 Li 2.06, 2 Fe 2.07-2.12, 1 Bi 2.16
O18 0.6123 0.6049 0.3780  1 Li 2.06, 2 Fe 2.07-2.12, 1 Bi 2.16
O19 0.6190 0.8810 0.1190  1 Li 1.99, 3 Fe 2.01
O20 0.6220 0.1123 0.8951  1 Li 2.06, 2 Fe 2.07-2.12, 1 Bi 2.16
O21 0.6280 0.3549 0.1377  1 Li 2.06, 2 Fe 2.07-2.12, 1 Bi 2.16
O22 0.6310 0.1310 0.3690  1 Li 1.99, 3 Fe 2.01
O23 0.6377 0.8720 0.6451  1 Li 2.06, 2 Fe 2.07-2.12, 1 Bi 2.16
O24 0.6451 0.6377 0.8720  1 Li 2.06, 2 Fe 2.07-2.12, 1 Bi 2.16
O25 0.8549 0.3623 0.3720  1 Li 2.06, 2 Fe 2.07-2.12, 1 Bi 2.16
O26 0.8623 0.1280 0.1451  1 Li 2.06, 2 Fe 2.07-2.12, 1 Bi 2.16
O27 0.8690 0.8690 0.8690  1 Li 1.99, 3 Fe 2.01
O28 0.8720 0.6451 0.6377  1 Li 2.06, 2 Fe 2.07-2.12, 1 Bi 2.16
O29 0.8780 0.8877 0.3951  1 Li 2.06, 2 Fe 2.07-2.12, 1 Bi 2.16
O30 0.8810 0.1190 0.6190  1 Li 1.99, 3 Fe 2.01
O31 0.8877 0.3951 0.8780  1 Li 2.06, 2 Fe 2.07-2.12, 1 Bi 2.16
O32 0.8951 0.6220 0.1123  1 Li 2.06, 2 Fe 2.07-2.12, 1 Bi 2.16

Calculated values
The calculation puts the magnetic moment at 60.00 μB/cell. For the total energy, the calculation gives -6.063 eV/atom. Its energy above the most stable polymorph in this dataset is 0 meV per atom. The space group is No. 212. The value obtained for the energy of formation from the pure elements is -1.7456 eV/atom.


# 4
CaLaTiFeO6 | PBE+U | relaxed

Lattice parameters (Å, degrees): 5.5740 9.5587 9.5637 70.44 90.00 90.00
Closest atoms and distances in Å follow each position.
Sites, in units of the cell vectors:
Fe1 0.5000 0.5000 0.5003  6 O 2.03-2.04
Fe2 0.5000 0.0000 0.0003  6 O 2.03-2.04
Fe3 0.0000 0.0000 0.5003  6 O 2.03-2.04
Fe4 0.0000 0.5000 0.0003  6 O 2.03-2.04
O1 0.5211 0.8340 0.9124  1 Ti 1.99, 1 Fe 2.03
O2 0.2189 0.3777 0.1678  1 Ti 1.99, 1 Fe 2.04
O3 0.4825 0.1696 0.0848  1 Ti 1.97, 1 Fe 2.04
O4 0.7794 0.1212 0.3360  1 Ti 1.98, 1 Fe 2.03
O5 0.7794 0.6212 0.8360  1 Ti 1.98, 1 Fe 2.03
O6 0.7206 0.6212 0.3360  1 Ti 1.98, 1 Fe 2.03
O7 0.0175 0.6696 0.0848  1 Ti 1.97, 1 Fe 2.04
O8 0.7154 0.4097 0.1325  1 Ti 1.97, 1 Fe 2.03
O9 0.2189 0.8777 0.6678  1 Ti 1.99, 1 Fe 2.04
O10 0.2898 0.0872 0.3692  1 Ti 1.98, 1 Fe 2.04
O11 0.2102 0.0872 0.8692  1 Ti 1.98, 1 Fe 2.04
O12 0.2811 0.3777 0.6678  1 Ti 1.99, 1 Fe 2.04
O13 0.9789 0.8340 0.4124  1 Ti 1.99, 1 Fe 2.03
O14 0.2102 0.5872 0.3692  1 Ti 1.98, 1 Fe 2.04
O15 0.5211 0.3340 0.4124  1 Ti 1.99, 1 Fe 2.03
O16 0.2811 0.8777 0.1678  1 Ti 1.99, 1 Fe 2.04
O17 0.4825 0.6695 0.5848  1 Ti 1.97, 1 Fe 2.04
O18 0.7846 0.9097 0.1325  1 Ti 1.97, 1 Fe 2.03
O19 0.0175 0.1696 0.5848  1 Ti 1.97, 1 Fe 2.04
O20 0.7154 0.9097 0.6325  1 Ti 1.97, 1 Fe 2.03
O21 0.7846 0.4097 0.6325  1 Ti 1.97, 1 Fe 2.03
O22 0.7206 0.1212 0.8360  1 Ti 1.98, 1 Fe 2.03
O23 0.9789 0.3340 0.9124  1 Ti 1.99, 1 Fe 2.03
O24 0.2898 0.5872 0.8692  1 Ti 1.98, 1 Fe 2.04
Ca1 0.9591 0.3808 0.3693  6 O 2.38-2.58
Ca2 0.9591 0.8808 0.8693  6 O 2.38-2.58
Ca3 0.5409 0.8808 0.3693  6 O 2.38-2.58
Ca4 0.5409 0.3808 0.8693  6 O 2.38-2.58
La1 0.0322 0.1207 0.1285  6 O 2.39-2.64
La2 0.4678 0.6207 0.1285  6 O 2.39-2.64
La3 0.0322 0.6207 0.6285  6 O 2.39-2.64
La4 0.4678 0.1207 0.6285  6 O 2.39-2.64
Ti1 0.9993 0.2492 0.7493  6 O 1.97-1.99
Ti2 0.5007 0.2492 0.2493  6 O 1.97-1.99
Ti3 0.9993 0.7492 0.2493  6 O 1.97-1.99
Ti4 0.5007 0.7492 0.7493  6 O 1.97-1.99

Calculated values
The calculation puts the magnetic moment at 0.00 μB/cell. For the total energy, the calculation gives -7.862 eV/atom. The value obtained for the energy of formation from the pure elements is -3.2006 eV/atom.